Record 1
Computed, not measured: a relaxed TaAsO4 crystal at the PBE level of DFT.

Properties
Uncorrected energy in eV/atom: -8.178

Lattice parameters (Å, degrees): 5.5175 11.8536 5.0632 90.00 90.00 90.00
With the nearest neighbours (Å) after each atom.
Fractional coordinates of all 24 atoms:
Ta 0.1209 0.2500 0.2500  6 O 1.92-2.08
Ta 0.3791 0.7500 0.2500  6 O 1.92-2.08
Ta 0.6209 0.2500 0.7500  6 O 1.92-2.08
Ta 0.8791 0.7500 0.7500  6 O 1.92-2.08
As 0.2500 0.0000 0.6514  2 O 1.85
As 0.2500 0.5000 0.8486  2 O 1.85
As 0.7500 0.0000 0.3486  2 O 1.85
As 0.7500 0.5000 0.1514  2 O 1.85
O 0.0841 0.0902 0.4132  1 As 1.85
O 0.0841 0.4098 0.0868  1 As 1.85
O 0.1452 0.7002 0.5039  2 Ta 1.92-2.01
O 0.1452 0.7998 0.9961  2 Ta 1.92-2.01
O 0.3548 0.2002 0.9961  2 Ta 1.92-2.01
O 0.3548 0.2998 0.5039  2 Ta 1.92-2.01
O 0.4159 0.5902 0.0868  1 As 1.85
O 0.4159 0.9098 0.4132  1 As 1.85
O 0.5841 0.0902 0.5868  1 As 1.85
O 0.5841 0.4098 0.9132  1 As 1.85
O 0.6452 0.7002 0.4961  2 Ta 1.92-2.01
O 0.6452 0.7998 0.0039  2 Ta 1.92-2.01
O 0.8548 0.2002 0.0039  2 Ta 1.92-2.01
O 0.8548 0.2998 0.4961  2 Ta 1.92-2.01
O 0.9159 0.5902 0.9132  1 As 1.85
O 0.9159 0.9098 0.5868  1 As 1.85

---

Record 2
Computed, not measured: a relaxed MgSn2O4 crystal at the PBE level of DFT.

Properties
Excess energy over the best structure of this formula in the dataset in meV/atom: 119

Lattice parameters (Å, degrees): 6.7279 6.7279 15.7613 90.38 90.38 58.20
With the nearest neighbours (Å) after each atom.
Fractional coordinates of all 42 atoms:
Mg 0.0000 0.0000 0.0000  4 O 2.02-2.21
Mg 0.0128 0.0128 0.3838  6 O 2.09-2.23
Mg 0.0265 0.0265 0.7606  3 O 2.05-2.09
Mg 0.3506 0.3506 0.4239  4 O 2.10-2.15
Mg 0.6850 0.6850 0.7130  6 O 2.14-2.19
Mg 0.6977 0.6977 0.0975  3 O 2.00-2.09
Sn 0.0003 0.5146 0.8802  6 O 2.10-2.25
Sn 0.1804 0.1804 0.2183  6 O 2.39-2.50
Sn 0.1830 0.6886 0.2164  6 O 2.07-2.23
Sn 0.3450 0.8580 0.5467  6 O 2.15-2.38
Sn 0.3455 0.3455 0.0483  6 O 2.40-2.59
Sn 0.3527 0.3527 0.6699  4 O 2.30-2.44
Sn 0.5111 0.5111 0.8808  5 O 2.28-2.54
Sn 0.5146 0.0003 0.8802  6 O 2.10-2.25
Sn 0.6786 0.6786 0.3288  3 O 2.21-2.35
Sn 0.6886 0.1830 0.2164  6 O 2.07-2.23
Sn 0.8513 0.8513 0.5472  6 O 2.13-2.26
Sn 0.8580 0.3450 0.5467  6 O 2.15-2.38
O 0.0004 0.0004 0.6293  1 Mg 2.09, 1 Sn 2.17
O 0.0038 0.0038 0.1335  1 Mg 2.10, 2 Sn 2.23
O 0.0219 0.5556 0.1432  1 Mg 2.00, 1 Sn 2.07
O 0.1501 0.6755 0.9493  1 Mg 2.02, 1 Sn 2.12
O 0.1587 0.7043 0.4699  2 Sn 2.14-2.33, 2 Mg 2.15-2.23
O 0.1744 0.1744 0.4588  2 Mg 2.15-2.23, 2 Sn 2.28
O 0.1766 0.1766 0.9529  1 Mg 2.21, 2 Sn 2.25
O 0.3017 0.8396 0.3018  2 Sn 2.08-2.21, 1 Mg 2.10
O 0.3342 0.3342 0.8206  4 Sn 2.13-2.39
O 0.3696 0.3696 0.2916  1 Mg 2.10, 2 Sn 2.18
O 0.3739 0.8738 0.7914  2 Mg 2.05-2.18, 1 Sn 2.10
O 0.5208 0.5208 0.1493  2 Sn 2.21, 1 Mg 2.24
O 0.5441 0.9722 0.6213  3 Sn 2.13-2.30, 1 Mg 2.19
O 0.5493 0.5493 0.6218  1 Mg 2.14, 2 Sn 2.15
O 0.5556 0.0219 0.1432  1 Mg 2.00, 1 Sn 2.07
O 0.6755 0.1501 0.9493  1 Mg 2.02, 1 Sn 2.12
O 0.6826 0.6826 0.4776  4 Sn 2.22-2.35
O 0.7026 0.7026 0.9649  1 Mg 2.09, 2 Sn 2.18
O 0.7043 0.1587 0.4699  2 Sn 2.14-2.33, 2 Mg 2.15-2.23
O 0.8260 0.8260 0.8024  2 Sn 2.17, 1 Mg 2.17
O 0.8396 0.3017 0.3018  2 Sn 2.08-2.21, 1 Mg 2.10
O 0.8738 0.3739 0.7914  2 Mg 2.05-2.18, 1 Sn 2.10
O 0.8849 0.8849 0.2909  2 Sn 2.09, 1 Mg 2.09
O 0.9722 0.5441 0.6213  3 Sn 2.13-2.30, 1 Mg 2.19

---

Record 3
Computed, not measured: a relaxed Zr2Ga2SiS5O24 crystal at the PBE level of DFT.

Properties
Uncorrected energy in eV/atom: -6.798

Lattice parameters (Å, degrees): 8.7474 8.7831 22.7522 89.89 89.72 60.24
With the nearest neighbours (Å) after each atom.
Fractional coordinates of all 102 atoms:
Zr 0.0000 0.0000 0.0000  5 O 1.90-2.12
Zr 0.0028 0.9940 0.2118  6 O 1.98-2.19
Zr 0.0082 0.9867 0.7116  5 O 1.92-2.14
Zr 0.3251 0.3320 0.3349  4 O 1.91-2.13
Zr 0.3329 0.3334 0.8299  5 O 1.91-2.12
Zr 0.6836 0.6498 0.1650  3 O 1.93-2.12
Ga 0.3264 0.3271 0.0429  1 O 1.79
Ga 0.3359 0.3260 0.5405  6 O 2.00-2.06
Ga 0.6568 0.6645 0.8754  2 O 1.81-2.02
Ga 0.6612 0.6547 0.6674  1 O 1.80
Ga 0.6718 0.6657 0.3772  1 O 1.79
Ga 0.9977 0.9940 0.5042  6 O 2.00-2.05
Si 0.0150 0.2824 0.1044  4 O 1.59-1.66
Si 0.3959 0.6621 0.7721  4 O 1.61-1.66
Si 0.9463 0.6655 0.2769  4 O 1.60-1.64
S 0.0349 0.6122 0.9387  4 O 1.47-1.49
S 0.0379 0.3247 0.4435  4 O 1.47-1.50
S 0.2897 0.6946 0.1038  4 O 1.45-1.49
S 0.2948 0.9952 0.6022  4 O 1.47-1.50
S 0.3346 0.6229 0.4421  4 O 1.48-1.50
S 0.3478 0.0311 0.9392  4 O 1.47-1.49
S 0.3842 0.9412 0.2758  4 O 1.46-1.48
S 0.6153 0.3361 0.9404  4 O 1.47-1.49
S 0.6278 0.0326 0.4427  4 O 1.48-1.50
S 0.6669 0.3766 0.2757  4 O 1.47-1.48
S 0.6681 0.9367 0.7721  4 O 1.46-1.49
S 0.6998 0.0053 0.1036  4 O 1.45-1.49
S 0.7062 0.2865 0.6030  4 O 1.48-1.50
S 0.9432 0.3819 0.7719  4 O 1.47-1.49
S 0.9987 0.6974 0.6035  4 O 1.48-1.50
O 0.0176 0.7874 0.9457  1 S 1.48
O 0.0250 0.1634 0.4515  1 S 1.49
O 0.0326 0.7789 0.6561  1 S 1.50
O 0.0377 0.1610 0.1616  1 Si 1.63
O 0.1166 0.5025 0.9908  1 S 1.47
O 0.1229 0.3589 0.4946  1 S 1.49
O 0.1243 0.3538 0.7799  1 S 1.49
O 0.1415 0.4917 0.2846  1 Si 1.64
O 0.1495 0.5321 0.8860  1 S 1.49
O 0.1531 0.2901 0.3905  1 S 1.50
O 0.1575 0.5230 0.5947  1 S 1.48
O 0.1756 0.7974 0.4509  1 S 1.49
O 0.1770 0.7733 0.1567  1 S 1.49
O 0.1797 0.0289 0.6553  1 S 1.50
O 0.1842 0.3021 0.0939  1 Si 1.59
O 0.1905 0.0082 0.9458  1 S 1.49
O 0.1953 0.8306 0.7624  1 Si 1.66
O 0.2054 0.8084 0.0519  1 S 1.49
O 0.2061 0.9644 0.2690  1 S 1.48
O 0.2103 0.9607 0.5511  1 S 1.49
O 0.3004 0.5418 0.3896  1 S 1.50
O 0.3079 0.1561 0.5942  1 S 1.49
O 0.3117 0.1426 0.8866  1 S 1.48
O 0.3123 0.5207 0.0945  1 S 1.45
O 0.3648 0.4928 0.7808  1 Si 1.65
O 0.3675 0.1165 0.2838  1 S 1.48
O 0.3691 0.5058 0.4939  1 S 1.49
O 0.3725 0.1149 0.9915  1 S 1.47
O 0.4597 0.6861 0.1123  1 S 1.47
O 0.4597 0.8325 0.3285  1 S 1.47
O 0.4697 0.8411 0.6114  1 S 1.47
O 0.4706 0.6965 0.8321  1 Si 1.61
O 0.4868 0.8662 0.2221  1 S 1.46
O 0.4924 0.6400 0.4314  1 S 1.48
O 0.5047 0.3627 0.9929  1 S 1.48
O 0.5058 0.8578 0.9326  1 S 1.47
O 0.5080 0.6254 0.7124  1 Si 1.61, 1 Ga 1.80
O 0.5099 0.1123 0.7806  1 S 1.49
O 0.5113 0.1181 0.4948  1 S 1.50
O 0.5122 0.3517 0.2832  1 S 1.48
O 0.5292 0.3049 0.5944  1 S 1.49
O 0.5326 0.1642 0.0944  1 S 1.45
O 0.5346 0.3042 0.8877  1 S 1.49
O 0.5503 0.1449 0.3901  1 S 1.49
O 0.6312 0.4837 0.2223  1 S 1.47
O 0.6405 0.8597 0.4355  1 S 1.48
O 0.6396 0.8609 0.7189  1 S 1.46
O 0.6406 0.4879 0.9329  1 S 1.47
O 0.6751 0.8517 0.1111  1 S 1.48
O 0.6926 0.4572 0.3284  1 S 1.47
O 0.6934 0.4595 0.6104  1 S 1.48
O 0.7047 0.8310 0.8257  1 S 1.47
O 0.7836 0.0291 0.1566  1 S 1.48
O 0.7847 0.1742 0.6557  1 S 1.49
O 0.7894 0.1727 0.9458  1 S 1.49
O 0.8049 0.0143 0.4513  1 S 1.49
O 0.8185 0.9638 0.0519  1 S 1.49
O 0.8211 0.9652 0.7639  1 S 1.49
O 0.8225 0.2015 0.5509  1 S 1.50
O 0.8232 0.2026 0.2675  1 S 1.47
O 0.8285 0.6941 0.3344  1 Si 1.60, 1 Ga 1.79
O 0.8325 0.4689 0.1099  1 Si 1.63
O 0.8406 0.4567 0.8258  1 S 1.47
O 0.8408 0.6804 0.6145  1 S 1.48
O 0.8600 0.6302 0.9288  1 S 1.48
O 0.8630 0.4787 0.4344  1 S 1.47
O 0.8667 0.6281 0.2175  1 Si 1.63
O 0.8741 0.4895 0.7189  1 S 1.47
O 0.9610 0.2060 0.7635  1 S 1.49
O 0.9641 0.8144 0.5518  1 S 1.49
O 0.9722 0.8322 0.2648  1 Si 1.61
O 0.9766 0.1880 0.0478  1 Si 1.66

---

Record 4
Computed, not measured: a relaxed Na3Sm17Si12O50F2 crystal at the PBE level of DFT.

Properties
Uncorrected energy in eV/atom: -7.989

Lattice parameters (Å, degrees): 9.5691 9.5691 14.0183 90.00 90.00 120.00
With the nearest neighbours (Å) after each atom.
Fractional coordinates of all 84 atoms:
Na 0.0000 0.0000 0.0000  6 O 2.48-2.57
Na 0.0000 0.0000 0.4976  6 O 2.47-2.60
Na 0.6667 0.3333 0.7488  6 O 2.46-2.57
Sm 0.0000 0.0000 0.2506  6 O 2.41-2.46
Sm 0.0000 0.0000 0.7522  6 O 2.38-2.49
Sm 0.0751 0.4167 0.6268  6 O 2.30-2.58, 1 F 2.43
Sm 0.0831 0.6754 0.8776  6 O 2.31-2.57, 1 F 2.44
Sm 0.0932 0.4335 0.1263  6 O 2.27-2.51
Sm 0.1001 0.6768 0.3775  6 O 2.28-2.53
Sm 0.3232 0.4233 0.3775  6 O 2.28-2.53
Sm 0.3246 0.4077 0.8776  6 O 2.31-2.57, 1 F 2.44
Sm 0.3403 0.9068 0.1263  6 O 2.27-2.51
Sm 0.3416 0.9249 0.6268  6 O 2.30-2.58, 1 F 2.43
Sm 0.5665 0.6597 0.1263  6 O 2.27-2.51
Sm 0.5767 0.8999 0.3775  6 O 2.28-2.53
Sm 0.5833 0.6584 0.6268  6 O 2.30-2.58, 1 F 2.43
Sm 0.5923 0.9169 0.8776  6 O 2.31-2.57, 1 F 2.44
Sm 0.6667 0.3333 0.2514  6 O 2.40-2.48
Sm 0.6667 0.3333 0.5070  6 O 2.34-2.53
Sm 0.6667 0.3333 0.9964  6 O 2.44-2.45
Si 0.3048 0.2673 0.1269  4 O 1.63-1.65
Si 0.3066 0.2744 0.6255  4 O 1.63-1.65
Si 0.3596 0.0582 0.8757  4 O 1.63-1.66
Si 0.3619 0.0653 0.3750  4 O 1.62-1.66
Si 0.6986 0.6404 0.8757  4 O 1.63-1.66
Si 0.7034 0.6381 0.3750  4 O 1.62-1.66
Si 0.7256 0.0322 0.6255  4 O 1.63-1.65
Si 0.7327 0.0375 0.1269  4 O 1.63-1.65
Si 0.9347 0.2966 0.3750  4 O 1.62-1.66
Si 0.9418 0.3014 0.8757  4 O 1.63-1.66
Si 0.9625 0.6952 0.1269  4 O 1.63-1.65
Si 0.9678 0.6934 0.6255  4 O 1.63-1.65
O 0.0118 0.4322 0.7870  1 Si 1.65
O 0.0226 0.1892 0.3711  1 Si 1.62
O 0.0249 0.1886 0.8715  1 Si 1.63
O 0.0835 0.7582 0.2208  1 Si 1.65
O 0.0870 0.7603 0.7200  1 Si 1.65
O 0.0887 0.7476 0.0367  1 Si 1.64
O 0.0985 0.7530 0.5371  1 Si 1.65
O 0.1637 0.9751 0.8715  1 Si 1.63
O 0.1666 0.9774 0.3711  1 Si 1.62
O 0.2134 0.0705 0.1311  1 Si 1.63
O 0.2160 0.0764 0.6305  1 Si 1.64
O 0.2397 0.3267 0.7200  1 Si 1.65
O 0.2418 0.3254 0.2208  1 Si 1.65
O 0.2470 0.3456 0.5371  1 Si 1.65
O 0.2524 0.3411 0.0367  1 Si 1.64
O 0.3333 0.6667 0.1291  3 Sm 2.27
O 0.3333 0.6667 0.3786  3 Sm 2.28
O 0.4204 0.9882 0.7870  1 Si 1.65
O 0.4270 0.0120 0.4696  1 Si 1.65
O 0.4283 0.0077 0.9703  1 Si 1.66
O 0.4352 0.0151 0.2825  1 Si 1.66
O 0.4518 0.2567 0.8797  1 Si 1.65
O 0.4596 0.2648 0.3770  1 Si 1.65
O 0.5031 0.3481 0.1261  1 Si 1.65
O 0.5029 0.3582 0.6222  1 Si 1.63
O 0.5678 0.5796 0.7870  1 Si 1.65
O 0.5794 0.5717 0.9703  1 Si 1.66
O 0.5799 0.5648 0.2825  1 Si 1.66
O 0.5850 0.5730 0.4696  1 Si 1.65
O 0.6418 0.1446 0.6222  1 Si 1.63
O 0.6519 0.1551 0.1261  1 Si 1.65
O 0.6544 0.9015 0.5371  1 Si 1.65
O 0.6589 0.9113 0.0367  1 Si 1.64
O 0.6733 0.9130 0.7200  1 Si 1.65
O 0.6746 0.9165 0.2208  1 Si 1.65
O 0.7352 0.1948 0.3770  1 Si 1.65
O 0.7433 0.1951 0.8797  1 Si 1.65
O 0.8052 0.5404 0.3770  1 Si 1.65
O 0.8049 0.5482 0.8797  1 Si 1.65
O 0.8108 0.8334 0.3711  1 Si 1.62
O 0.8114 0.8363 0.8715  1 Si 1.63
O 0.8449 0.4969 0.1261  1 Si 1.65
O 0.8554 0.4971 0.6222  1 Si 1.63
O 0.8571 0.7866 0.1311  1 Si 1.63
O 0.8604 0.7840 0.6305  1 Si 1.64
O 0.9236 0.1396 0.6305  1 Si 1.64
O 0.9295 0.1429 0.1311  1 Si 1.63
O 0.9849 0.4201 0.2825  1 Si 1.66
O 0.9880 0.4150 0.4696  1 Si 1.65
O 0.9923 0.4206 0.9703  1 Si 1.66
F 0.3333 0.6667 0.6323  3 Sm 2.43
F 0.3333 0.6667 0.8795  3 Sm 2.44